(1)
# HoB3Mo (PBE-GGA, optimized geometry)
# - crystal system = monoclinic
# - E_tot (eV/cell) = -77.216
# - formation enthalpy at 0 K (meV/atom) = -628
data_HoB3Mo
_cell_length_a 3.166
_cell_length_b 5.447
_cell_length_c 6.835
_cell_angle_alpha 78.08
_cell_angle_beta 90.00
_cell_angle_gamma 90.00
_space_group_name_H-M_alt 'P 1'
_space_group_IT_number 1
_space_group_name_Hall 'P 1'
loop_
_atom_site_label
_atom_site_type_symbol
_atom_site_fract_x
_atom_site_fract_y
_atom_site_fract_z
Ho1 Ho 0.250 0.324 0.710
Ho2 Ho 0.750 0.676 0.290
B1 B 0.250 0.920 0.524
B2 B 0.750 0.080 0.476
B3 B 0.250 0.912 0.005
B4 B 0.750 0.088 0.995
B5 B 0.250 0.584 0.007
B6 B 0.750 0.416 0.993
Mo1 Mo 0.250 0.189 0.220
Mo2 Mo 0.750 0.811 0.780

(2)
# ReH22C4S4N8Cl8O3 (PBE-GGA, optimized geometry)
# - size of the total moment (Bohr magnetons per cell) = 6.0
# - crystal system = orthorhombic
# - E_tot (eV/cell) = -521.669
# - formation enthalpy at 0 K (meV/atom) = -561
# - energy above the lowest structure with this stoichiometry (eV/atom) = 0.000
data_ReH22C4S4N8Cl8O3
_cell_length_a 9.002
_cell_length_b 9.002
_cell_length_c 17.086
_cell_angle_alpha 90.00
_cell_angle_beta 90.00
_cell_angle_gamma 99.70
_space_group_name_H-M_alt 'P 1'
_space_group_IT_number 1
_space_group_name_Hall 'P 1'
loop_
_atom_site_label
_atom_site_type_symbol
_atom_site_fract_x
_atom_site_fract_y
_atom_site_fract_z
Re1 Re 0.847 0.153 0.750
Re2 Re 0.153 0.847 0.250
H1 H 0.369 0.916 0.622
H2 H 0.916 0.369 0.378
H3 H 0.369 0.916 0.878
H4 H 0.916 0.369 0.122
H5 H 0.631 0.084 0.378
H6 H 0.084 0.631 0.622
H7 H 0.631 0.084 0.122
H8 H 0.084 0.631 0.878
H9 H 0.382 0.096 0.670
H10 H 0.096 0.382 0.330
H11 H 0.382 0.096 0.830
H12 H 0.096 0.382 0.170
H13 H 0.618 0.904 0.330
H14 H 0.904 0.618 0.670
H15 H 0.618 0.904 0.170
H16 H 0.904 0.618 0.830
H17 H 0.311 0.899 0.488
H18 H 0.899 0.311 0.512
H19 H 0.311 0.899 0.012
H20 H 0.899 0.311 0.988
H21 H 0.689 0.101 0.512
H22 H 0.101 0.689 0.488
H23 H 0.689 0.101 0.988
H24 H 0.101 0.689 0.012
H25 H 0.284 0.061 0.436
H26 H 0.061 0.284 0.564
H27 H 0.284 0.061 0.064
H28 H 0.061 0.284 0.936
H29 H 0.716 0.939 0.564
H30 H 0.939 0.716 0.436
H31 H 0.716 0.939 0.936
H32 H 0.939 0.716 0.064
H33 H 0.466 0.307 0.750
H34 H 0.307 0.466 0.250
H35 H 0.534 0.693 0.250
H36 H 0.693 0.534 0.750
H37 H 0.291 0.285 0.750
H38 H 0.285 0.291 0.250
H39 H 0.709 0.715 0.250
H40 H 0.715 0.709 0.750
H41 H 0.405 0.595 0.704
H42 H 0.595 0.405 0.296
H43 H 0.405 0.595 0.796
H44 H 0.595 0.405 0.204
C1 C 0.339 0.092 0.552
C2 C 0.092 0.339 0.448
C3 C 0.339 0.092 0.948
C4 C 0.092 0.339 0.052
C5 C 0.661 0.908 0.448
C6 C 0.908 0.661 0.552
C7 C 0.661 0.908 0.052
C8 C 0.908 0.661 0.948
S1 S 0.343 0.291 0.556
S2 S 0.291 0.343 0.444
S3 S 0.343 0.291 0.944
S4 S 0.291 0.343 0.056
S5 S 0.657 0.709 0.444
S6 S 0.709 0.657 0.556
S7 S 0.657 0.709 0.056
S8 S 0.709 0.657 0.944
N1 N 0.371 0.032 0.619
N2 N 0.032 0.371 0.381
N3 N 0.371 0.032 0.881
N4 N 0.032 0.371 0.119
N5 N 0.629 0.968 0.381
N6 N 0.968 0.629 0.619
N7 N 0.629 0.968 0.119
N8 N 0.968 0.629 0.881
N9 N 0.312 0.013 0.487
N10 N 0.013 0.312 0.513
N11 N 0.312 0.013 0.013
N12 N 0.013 0.312 0.987
N13 N 0.688 0.987 0.513
N14 N 0.987 0.688 0.487
N15 N 0.688 0.987 0.987
N16 N 0.987 0.688 0.013
Cl1 Cl 0.724 0.276 0.653
Cl2 Cl 0.276 0.724 0.347
Cl3 Cl 0.724 0.276 0.847
Cl4 Cl 0.276 0.724 0.153
Cl5 Cl 0.968 0.032 0.651
Cl6 Cl 0.032 0.968 0.349
Cl7 Cl 0.968 0.032 0.849
Cl8 Cl 0.032 0.968 0.151
Cl9 Cl 0.642 0.945 0.750
Cl10 Cl 0.945 0.642 0.250
Cl11 Cl 0.358 0.055 0.250
Cl12 Cl 0.055 0.358 0.750
Cl13 Cl 0.321 0.679 0.584
Cl14 Cl 0.679 0.321 0.416
Cl15 Cl 0.321 0.679 0.916
Cl16 Cl 0.679 0.321 0.084
O1 O 0.376 0.228 0.750
O2 O 0.228 0.376 0.250
O3 O 0.624 0.772 0.250
O4 O 0.772 0.624 0.750
O5 O 0.448 0.552 0.750
O6 O 0.552 0.448 0.250

(3)
# Tb3ZnAu5 (PBE-GGA, optimized geometry)
# - crystal system = orthorhombic
# - E_tot (eV/cell) = -154.769
# - formation enthalpy at 0 K (meV/atom) = -796
data_Tb3ZnAu5
_cell_length_a 8.480
_cell_length_b 8.480
_cell_length_c 13.371
_cell_angle_alpha 90.00
_cell_angle_beta 90.00
_cell_angle_gamma 127.25
_space_group_name_H-M_alt 'P 1'
_space_group_IT_number 1
_space_group_name_Hall 'P 1'
loop_
_atom_site_label
_atom_site_type_symbol
_atom_site_fract_x
_atom_site_fract_y
_atom_site_fract_z
Tb1 Tb 0.929 0.071 0.250
Tb2 Tb 0.071 0.929 0.750
Tb3 Tb 0.320 0.680 0.250
Tb4 Tb 0.680 0.320 0.750
Tb5 Tb 0.630 0.370 0.462
Tb6 Tb 0.370 0.630 0.538
Tb7 Tb 0.630 0.370 0.038
Tb8 Tb 0.370 0.630 0.962
Tb9 Tb 0.882 0.118 0.950
Tb10 Tb 0.118 0.882 0.050
Tb11 Tb 0.882 0.118 0.550
Tb12 Tb 0.118 0.882 0.450
Zn1 Zn 0.721 0.279 0.250
Zn2 Zn 0.279 0.721 0.750
Zn3 Zn 0.533 0.467 0.250
Zn4 Zn 0.467 0.533 0.750
Au1 Au 0.319 0.065 0.250
Au2 Au 0.065 0.319 0.750
Au3 Au 0.681 0.935 0.750
Au4 Au 0.935 0.681 0.250
Au5 Au 0.568 0.002 0.397
Au6 Au 0.002 0.568 0.603
Au7 Au 0.568 0.002 0.103
Au8 Au 0.002 0.568 0.897
Au9 Au 0.432 0.998 0.603
Au10 Au 0.998 0.432 0.397
Au11 Au 0.432 0.998 0.897
Au12 Au 0.998 0.432 0.103
Au13 Au 0.688 0.743 0.395
Au14 Au 0.743 0.688 0.605
Au15 Au 0.688 0.743 0.105
Au16 Au 0.743 0.688 0.895
Au17 Au 0.312 0.257 0.605
Au18 Au 0.257 0.312 0.395
Au19 Au 0.312 0.257 0.895
Au20 Au 0.257 0.312 0.105

(4)
# Ti2MnAl (PBE-GGA, optimized geometry)
# - size of the total moment (Bohr magnetons per cell) = 0.0
# - crystal system = cubic
# - E_tot (eV/cell) = -29.699
# - formation enthalpy at 0 K (meV/atom) = -250
# - largest piezoelectric modulus (C/m²) = 1.4
data_Ti2MnAl
_cell_length_a 4.418
_cell_length_b 4.418
_cell_length_c 4.418
_cell_angle_alpha 60.00
_cell_angle_beta 60.00
_cell_angle_gamma 60.00
_space_group_name_H-M_alt 'P 1'
_space_group_IT_number 1
_space_group_name_Hall 'P 1'
loop_
_atom_site_label
_atom_site_type_symbol
_atom_site_fract_x
_atom_site_fract_y
_atom_site_fract_z
Ti1 Ti 0.000 0.000 0.000
Ti2 Ti 0.250 0.250 0.250
Mn1 Mn 0.500 0.500 0.500
Al1 Al 0.750 0.750 0.750

(5)
# UMn5Al7 (PBE-GGA, optimized geometry)
# - size of the total moment (Bohr magnetons per cell) = 0.0
# - crystal system = orthorhombic
# - E_tot (eV/cell) = -85.822
# - formation enthalpy at 0 K (meV/atom) = -192
data_UMn5Al7
_cell_length_a 6.661
_cell_length_b 6.661
_cell_length_c 6.661
_cell_angle_alpha 136.36
_cell_angle_beta 98.34
_cell_angle_gamma 97.54
_space_group_name_H-M_alt 'P 1'
_space_group_IT_number 1
_space_group_name_Hall 'P 1'
loop_
_atom_site_label
_atom_site_type_symbol
_atom_site_fract_x
_atom_site_fract_y
_atom_site_fract_z
U1 U 0.011 0.000 0.011
Mn1 Mn 0.998 0.987 0.483
Mn2 Mn 0.998 0.515 0.011
Mn3 Mn 0.496 0.013 0.011
Mn4 Mn 0.496 0.485 0.483
Mn5 Mn 0.225 0.500 0.725
Al1 Al 0.662 0.000 0.662
Al2 Al 0.348 0.000 0.348
Al3 Al 0.333 0.344 0.988
Al4 Al 0.644 0.656 0.988
Al5 Al 0.777 0.500 0.277
Al6 Al 0.794 0.289 0.505
Al7 Al 0.216 0.711 0.505

(6)
# Cs2BaO2 (PBE-GGA, optimized geometry)
# - size of the total moment (Bohr magnetons per cell) = 0.0
# - crystal system = orthorhombic
# - E_tot (eV/cell) = -84.727
# - formation enthalpy at 0 K (meV/atom) = -1790
data_Cs2BaO2
_cell_length_a 7.051
_cell_length_b 7.357
_cell_length_c 11.505
_cell_angle_alpha 90.00
_cell_angle_beta 90.00
_cell_angle_gamma 90.00
_space_group_name_H-M_alt 'P 1'
_space_group_IT_number 1
_space_group_name_Hall 'P 1'
loop_
_atom_site_label
_atom_site_type_symbol
_atom_site_fract_x
_atom_site_fract_y
_atom_site_fract_z
Cs1 Cs 0.412 0.597 0.159
Cs2 Cs 0.588 0.097 0.159
Cs3 Cs 0.088 0.097 0.341
Cs4 Cs 0.912 0.597 0.341
Cs5 Cs 0.088 0.403 0.659
Cs6 Cs 0.912 0.903 0.659
Cs7 Cs 0.412 0.903 0.841
Cs8 Cs 0.588 0.403 0.841
Ba1 Ba 0.027 0.250 0.000
Ba2 Ba 0.973 0.750 0.000
Ba3 Ba 0.473 0.750 0.500
Ba4 Ba 0.527 0.250 0.500
O1 O 0.193 0.975 0.106
O2 O 0.807 0.475 0.106
O3 O 0.307 0.475 0.394
O4 O 0.693 0.975 0.394
O5 O 0.307 0.025 0.606
O6 O 0.693 0.525 0.606
O7 O 0.193 0.525 0.894
O8 O 0.807 0.025 0.894

(7)
# SnTe (PBE-GGA, optimized geometry)
# - size of the total moment (Bohr magnetons per cell) = 0.0
# - crystal system = cubic
# - E_tot (eV/cell) = -7.270
# - formation enthalpy at 0 K (meV/atom) = -270
data_SnTe
_cell_length_a 3.905
_cell_length_b 3.905
_cell_length_c 3.905
_cell_angle_alpha 90.00
_cell_angle_beta 90.00
_cell_angle_gamma 90.00
_space_group_name_H-M_alt 'P 1'
_space_group_IT_number 1
_space_group_name_Hall 'P 1'
loop_
_atom_site_label
_atom_site_type_symbol
_atom_site_fract_x
_atom_site_fract_y
_atom_site_fract_z
Sn1 Sn 0.000 0.000 0.000
Te1 Te 0.500 0.500 0.500

(8)
# Ho3Co2Si3 (PBE-GGA, optimized geometry)
# - size of the total moment (Bohr magnetons per cell) = 0.0
# - crystal system = orthorhombic
# - E_tot (eV/cell) = -100.550
# - formation enthalpy at 0 K (meV/atom) = -728
data_Ho3Co2Si3
_cell_length_a 5.601
_cell_length_b 5.601
_cell_length_c 13.548
_cell_angle_alpha 90.00
_cell_angle_beta 90.00
_cell_angle_gamma 137.17
_space_group_name_H-M_alt 'P 1'
_space_group_IT_number 1
_space_group_name_Hall 'P 1'
loop_
_atom_site_label
_atom_site_type_symbol
_atom_site_fract_x
_atom_site_fract_y
_atom_site_fract_z
Ho1 Ho 0.638 0.362 0.250
Ho2 Ho 0.362 0.638 0.750
Ho3 Ho 0.919 0.081 0.112
Ho4 Ho 0.081 0.919 0.888
Ho5 Ho 0.081 0.919 0.612
Ho6 Ho 0.919 0.081 0.388
Co1 Co 0.786 0.214 0.581
Co2 Co 0.214 0.786 0.419
Co3 Co 0.214 0.786 0.081
Co4 Co 0.786 0.214 0.919
Si1 Si 0.330 0.670 0.250
Si2 Si 0.670 0.330 0.750
Si3 Si 0.621 0.379 0.039
Si4 Si 0.379 0.621 0.961
Si5 Si 0.379 0.621 0.539
Si6 Si 0.621 0.379 0.461

(9)
# LiAc2Si (PBE-GGA, optimized geometry)
# - crystal system = cubic
# - E_tot (eV/cell) = -16.343
# - formation enthalpy at 0 K (meV/atom) = -174
data_LiAc2Si
_cell_length_a 5.500
_cell_length_b 5.500
_cell_length_c 5.500
_cell_angle_alpha 60.00
_cell_angle_beta 60.00
_cell_angle_gamma 60.00
_space_group_name_H-M_alt 'P 1'
_space_group_IT_number 1
_space_group_name_Hall 'P 1'
loop_
_atom_site_label
_atom_site_type_symbol
_atom_site_fract_x
_atom_site_fract_y
_atom_site_fract_z
Li1 Li 0.500 0.500 0.500
Ac1 Ac 0.750 0.750 0.750
Ac2 Ac 0.250 0.250 0.250
Si1 Si 0.000 0.000 0.000

(10)
# SmGa9Co3 (PBE-GGA, optimized geometry)
# - size of the total moment (Bohr magnetons per cell) = 0.0
# - crystal system = monoclinic
# - E_tot (eV/cell) = -111.070
# - formation enthalpy at 0 K (meV/atom) = -172
data_SmGa9Co3
_cell_length_a 10.904
_cell_length_b 10.904
_cell_length_c 12.096
_cell_angle_alpha 56.51
_cell_angle_beta 56.51
_cell_angle_gamma 21.45
_space_group_name_H-M_alt 'P 1'
_space_group_IT_number 1
_space_group_name_Hall 'P 1'
loop_
_atom_site_label
_atom_site_type_symbol
_atom_site_fract_x
_atom_site_fract_y
_atom_site_fract_z
Sm1 Sm 0.967 0.967 0.782
Sm2 Sm 0.033 0.033 0.218
Ga1 Ga 0.586 0.586 0.564
Ga2 Ga 0.414 0.414 0.436
Ga3 Ga 0.417 0.417 0.228
Ga4 Ga 0.583 0.583 0.772
Ga5 Ga 0.795 0.795 0.797
Ga6 Ga 0.205 0.205 0.203
Ga7 Ga 0.202 0.202 0.890
Ga8 Ga 0.798 0.798 0.110
Ga9 Ga 0.593 0.593 0.973
Ga10 Ga 0.407 0.407 0.027
Ga11 Ga 0.401 0.401 0.663
Ga12 Ga 0.599 0.599 0.337
Ga13 Ga 0.000 0.000 0.500
Ga14 Ga 0.000 0.000 0.000
Ga15 Ga 0.674 0.674 0.073
Ga16 Ga 0.326 0.326 0.927
Ga17 Ga 0.190 0.190 0.557
Ga18 Ga 0.810 0.810 0.443
Co1 Co 0.876 0.876 0.188
Co2 Co 0.124 0.124 0.812
Co3 Co 0.124 0.124 0.436
Co4 Co 0.876 0.876 0.564
Co5 Co 0.722 0.722 0.364
Co6 Co 0.278 0.278 0.636

(11)
# Cs2ZnH4 (PBE-GGA, optimized geometry)
# - size of the total moment (Bohr magnetons per cell) = 0.0
# - crystal system = orthorhombic
# - E_tot (eV/cell) = -72.911
# - formation enthalpy at 0 K (meV/atom) = -332
data_Cs2ZnH4
_cell_length_a 6.375
_cell_length_b 8.696
_cell_length_c 11.141
_cell_angle_alpha 90.00
_cell_angle_beta 90.00
_cell_angle_gamma 90.00
_space_group_name_H-M_alt 'P 1'
_space_group_IT_number 1
_space_group_name_Hall 'P 1'
loop_
_atom_site_label
_atom_site_type_symbol
_atom_site_fract_x
_atom_site_fract_y
_atom_site_fract_z
Cs1 Cs 0.250 0.662 0.093
Cs2 Cs 0.250 0.162 0.407
Cs3 Cs 0.750 0.338 0.907
Cs4 Cs 0.750 0.838 0.593
Cs5 Cs 0.250 0.987 0.811
Cs6 Cs 0.250 0.487 0.689
Cs7 Cs 0.750 0.013 0.189
Cs8 Cs 0.750 0.513 0.311
Zn1 Zn 0.250 0.743 0.416
Zn2 Zn 0.250 0.243 0.084
Zn3 Zn 0.750 0.257 0.584
Zn4 Zn 0.750 0.757 0.916
H1 H 0.036 0.814 0.348
H2 H 0.464 0.314 0.152
H3 H 0.536 0.186 0.652
H4 H 0.964 0.686 0.848
H5 H 0.964 0.186 0.652
H6 H 0.536 0.686 0.848
H7 H 0.464 0.814 0.348
H8 H 0.036 0.314 0.152
H9 H 0.250 0.552 0.406
H10 H 0.250 0.052 0.094
H11 H 0.750 0.448 0.594
H12 H 0.750 0.948 0.906
H13 H 0.250 0.304 0.941
H14 H 0.250 0.804 0.559
H15 H 0.750 0.696 0.059
H16 H 0.750 0.196 0.441

(12)
# Mg2Ge (PBE-GGA, optimized geometry)
# - size of the total moment (Bohr magnetons per cell) = 0.0
# - crystal system = cubic
# - E_tot (eV/cell) = -14.362
# - formation enthalpy at 0 K (meV/atom) = 214
data_Mg2Ge
_cell_length_a 5.695
_cell_length_b 5.695
_cell_length_c 5.695
_cell_angle_alpha 60.00
_cell_angle_beta 60.00
_cell_angle_gamma 60.00
_space_group_name_H-M_alt 'P 1'
_space_group_IT_number 1
_space_group_name_Hall 'P 1'
loop_
_atom_site_label
_atom_site_type_symbol
_atom_site_fract_x
_atom_site_fract_y
_atom_site_fract_z
Mg1 Mg 0.125 0.125 0.125
Mg2 Mg 0.625 0.125 0.125
Mg3 Mg 0.125 0.625 0.125
Mg4 Mg 0.125 0.125 0.625
Ge1 Ge 0.500 0.500 0.500
Ge2 Ge 0.750 0.750 0.750